Entry 1:
Na5CuO4: optimized geometry, PBE-GGA.

Values from the calculation:
The crystal system is orthorhombic. The calculation puts the energy relative to the lowest polymorph listed for this composition at 0 meV/atom. The calculation puts the total magnetization at 16.00 μB/cell. For the formation energy, the calculation gives -1.37 eV/atom. Its symmetry is Pbca.

a = 5.9873 Å, b = 17.9632 Å, c = 10.4858 Å
α = 90.00°, β = 90.00°, γ = 90.00°
Last column: nearest neighbours and their distance in Å.
Sites, in units of the cell vectors:
Na 0.0756 0.0659 0.0641  3 O 2.26-2.33
Na 0.0756 0.4341 0.5641  3 O 2.26-2.33
Na 0.0785 0.1384 0.7960  4 O 2.39-2.45
Na 0.0785 0.3616 0.2960  4 O 2.39-2.45
Na 0.0855 0.5016 0.8424  4 O 2.36-2.51
Na 0.0855 0.9984 0.3424  4 O 2.36-2.51
Na 0.1017 0.6712 0.1709  4 O 2.29-2.42
Na 0.1017 0.8288 0.6709  4 O 2.29-2.42
Na 0.1027 0.7485 0.4209  4 O 2.38-2.45
Na 0.1027 0.7515 0.9209  4 O 2.38-2.45
Na 0.3973 0.2485 0.4209  4 O 2.38-2.45
Na 0.3973 0.2515 0.9209  4 O 2.38-2.45
Na 0.3983 0.1712 0.1709  4 O 2.29-2.42
Na 0.3983 0.3288 0.6709  4 O 2.29-2.42
Na 0.4145 0.0016 0.8424  4 O 2.36-2.51
Na 0.4145 0.4984 0.3424  4 O 2.36-2.51
Na 0.4215 0.6384 0.7960  4 O 2.39-2.45
Na 0.4215 0.8616 0.2960  4 O 2.39-2.45
Na 0.4244 0.5659 0.0641  3 O 2.26-2.33
Na 0.4244 0.9341 0.5641  3 O 2.26-2.33
Na 0.5756 0.0659 0.4359  3 O 2.26-2.33
Na 0.5756 0.4341 0.9359  3 O 2.26-2.33
Na 0.5785 0.1384 0.7040  4 O 2.39-2.45
Na 0.5785 0.3616 0.2040  4 O 2.39-2.45
Na 0.5855 0.5016 0.6576  4 O 2.36-2.51
Na 0.5855 0.9984 0.1576  4 O 2.36-2.51
Na 0.6017 0.6712 0.3291  4 O 2.29-2.42
Na 0.6017 0.8288 0.8291  4 O 2.29-2.42
Na 0.6027 0.7485 0.0791  4 O 2.38-2.45
Na 0.6027 0.7515 0.5791  4 O 2.38-2.45
Na 0.8973 0.2485 0.0791  4 O 2.38-2.45
Na 0.8973 0.2515 0.5791  4 O 2.38-2.45
Na 0.8983 0.1712 0.3291  4 O 2.29-2.42
Na 0.8983 0.3288 0.8291  4 O 2.29-2.42
Na 0.9145 0.0016 0.6576  4 O 2.36-2.51
Na 0.9145 0.4984 0.1576  4 O 2.36-2.51
Na 0.9215 0.6384 0.7040  4 O 2.39-2.45
Na 0.9215 0.8616 0.2040  4 O 2.39-2.45
Na 0.9244 0.5659 0.4359  3 O 2.26-2.33
Na 0.9244 0.9341 0.9359  3 O 2.26-2.33
Cu 0.1774 0.1226 0.5386  4 O 1.90-1.94
Cu 0.1774 0.3774 0.0386  4 O 1.90-1.94
Cu 0.3226 0.6226 0.5386  4 O 1.90-1.94
Cu 0.3226 0.8774 0.0386  4 O 1.90-1.94
Cu 0.6774 0.1226 0.9614  4 O 1.90-1.94
Cu 0.6774 0.3774 0.4614  4 O 1.90-1.94
Cu 0.8226 0.6226 0.9614  4 O 1.90-1.94
Cu 0.8226 0.8774 0.4614  4 O 1.90-1.94
O 0.1419 0.6212 0.9578  1 Cu 1.91
O 0.1419 0.8788 0.4578  1 Cu 1.91
O 0.1889 0.5460 0.6385  1 Cu 1.90
O 0.1889 0.9540 0.1385  1 Cu 1.90
O 0.2316 0.7111 0.6312  1 Cu 1.94
O 0.2316 0.7889 0.1312  1 Cu 1.94
O 0.2428 0.6252 0.3595  1 Cu 1.94
O 0.2428 0.8748 0.8595  1 Cu 1.94
O 0.2572 0.1252 0.3595  1 Cu 1.94
O 0.2572 0.3748 0.8595  1 Cu 1.94
O 0.2684 0.2111 0.6312  1 Cu 1.94
O 0.2684 0.2889 0.1312  1 Cu 1.94
O 0.3111 0.0460 0.6385  1 Cu 1.90
O 0.3111 0.4540 0.1385  1 Cu 1.90
O 0.3581 0.1212 0.9578  1 Cu 1.91
O 0.3581 0.3788 0.4578  1 Cu 1.91
O 0.6419 0.6212 0.5422  1 Cu 1.91
O 0.6419 0.8788 0.0422  1 Cu 1.91
O 0.6889 0.5460 0.8615  1 Cu 1.90
O 0.6889 0.9540 0.3615  1 Cu 1.90
O 0.7316 0.7111 0.8688  1 Cu 1.94
O 0.7316 0.7889 0.3688  1 Cu 1.94
O 0.7428 0.6252 0.1405  1 Cu 1.94
O 0.7428 0.8748 0.6405  1 Cu 1.94
O 0.7572 0.1252 0.1405  1 Cu 1.94
O 0.7572 0.3748 0.6405  1 Cu 1.94
O 0.7684 0.2111 0.8688  1 Cu 1.94
O 0.7684 0.2889 0.3688  1 Cu 1.94
O 0.8111 0.0460 0.8615  1 Cu 1.90
O 0.8111 0.4540 0.3615  1 Cu 1.90
O 0.8581 0.1212 0.5422  1 Cu 1.91
O 0.8581 0.3788 0.0422  1 Cu 1.91

---

Entry 2:
NaCu3O4: optimized geometry, PBE-GGA.

Values from the calculation:
The crystal system is monoclinic. The calculation puts the energy relative to the lowest polymorph listed for this composition at 35 meV/atom. The calculation puts the total magnetization at 0.00 μB/cell. For the formation energy, the calculation gives -1.08 eV/atom. Its symmetry is Cm.

a = 6.0660 Å, b = 6.0660 Å, c = 3.5121 Å
α = 90.06°, β = 90.06°, γ = 53.45°
Last column: nearest neighbours and their distance in Å.
Sites, in units of the cell vectors:
Na 0.0000 0.0000 0.0000  8 O 2.62-2.69
Cu 0.2382 0.2382 0.5040  4 O 1.86-1.91
Cu 0.4958 0.4958 0.4865  4 O 1.93-1.94
Cu 0.7544 0.7544 0.4965  4 O 1.85-1.91
O 0.1232 0.6085 0.5037  3 Cu 1.85-1.93
O 0.3849 0.8685 0.4927  3 Cu 1.86-1.94
O 0.6085 0.1232 0.5037  3 Cu 1.85-1.93
O 0.8685 0.3849 0.4927  3 Cu 1.86-1.94

---

Entry 3:
NaCu3O4: optimized geometry, PBE-GGA.

Values from the calculation:
The crystal system is tetragonal. The calculation puts the energy relative to the lowest polymorph listed for this composition at 65 meV/atom. The calculation puts the total magnetization at 0.33 μB/cell. For the formation energy, the calculation gives -1.05 eV/atom. Its symmetry is P4_122.

a = 6.0418 Å, b = 6.0418 Å, c = 8.7967 Å
α = 90.00°, β = 90.00°, γ = 90.00°
Last column: nearest neighbours and their distance in Å.
Sites, in units of the cell vectors:
Na 0.0000 0.2514 0.0000  6 O 2.35-2.41
Na 0.0000 0.7486 0.5000  6 O 2.35-2.41
Na 0.2514 0.0000 0.7500  6 O 2.35-2.41
Na 0.7486 0.0000 0.2500  6 O 2.35-2.41
Cu 0.0000 0.2522 0.5000  6 O 2.01-2.15
Cu 0.0000 0.7478 0.0000  6 O 2.01-2.15
Cu 0.2506 0.5000 0.2500  4 O 1.95
Cu 0.2522 0.0000 0.2500  6 O 2.01-2.15
Cu 0.2542 0.5000 0.7500  2 O 1.92
Cu 0.5000 0.2506 0.5000  4 O 1.95
Cu 0.5000 0.2542 0.0000  2 O 1.92
Cu 0.5000 0.7458 0.5000  2 O 1.92
Cu 0.5000 0.7494 0.0000  4 O 1.95
Cu 0.7458 0.5000 0.2500  2 O 1.92
Cu 0.7478 0.0000 0.7500  6 O 2.01-2.15
Cu 0.7494 0.5000 0.7500  4 O 1.95
O 0.0246 0.2714 0.2728  3 Cu 1.95-2.15
O 0.0246 0.7286 0.2272  3 Cu 1.95-2.15
O 0.2714 0.0246 0.4772  3 Cu 1.95-2.15
O 0.2713 0.4735 0.5324  3 Cu 1.92-2.13
O 0.2713 0.5265 0.9676  3 Cu 1.92-2.13
O 0.2714 0.9754 0.0228  3 Cu 1.95-2.15
O 0.4735 0.2713 0.2176  3 Cu 1.92-2.13
O 0.4735 0.7287 0.2824  3 Cu 1.92-2.13
O 0.5265 0.2713 0.7824  3 Cu 1.92-2.13
O 0.5265 0.7287 0.7176  3 Cu 1.92-2.13
O 0.7286 0.0246 0.5228  3 Cu 1.95-2.15
O 0.7287 0.4735 0.4676  3 Cu 1.92-2.13
O 0.7287 0.5265 0.0324  3 Cu 1.92-2.13
O 0.7286 0.9754 0.9772  3 Cu 1.95-2.15
O 0.9754 0.2714 0.7272  3 Cu 1.95-2.15
O 0.9754 0.7286 0.7728  3 Cu 1.95-2.15

---

Entry 4:
Na3CuO3: optimized geometry, PBE-GGA.

Values from the calculation:
The crystal system is tetragonal. The calculation puts the energy relative to the lowest polymorph listed for this composition at 4 meV/atom. For the formation energy, the calculation gives -1.45 eV/atom. Its symmetry is P4_2/mnm.

a = 9.3768 Å, b = 9.3768 Å, c = 4.4318 Å
α = 90.00°, β = 90.00°, γ = 90.00°
Last column: nearest neighbours and their distance in Å.
Sites, in units of the cell vectors:
Na 0.1259 0.3661 0.0000  3 O 2.25-2.32
Na 0.1339 0.6259 0.5000  3 O 2.25-2.32
Na 0.1512 0.1512 0.5000  4 O 2.31-2.34
Na 0.3488 0.6512 0.0000  4 O 2.31-2.34
Na 0.3661 0.1259 0.0000  3 O 2.25-2.32
Na 0.3741 0.8661 0.5000  3 O 2.25-2.32
Na 0.6259 0.1339 0.5000  3 O 2.25-2.32
Na 0.6339 0.8741 0.0000  3 O 2.25-2.32
Na 0.6512 0.3488 0.0000  4 O 2.31-2.34
Na 0.8488 0.8488 0.5000  4 O 2.31-2.34
Na 0.8661 0.3741 0.5000  3 O 2.25-2.32
Na 0.8741 0.6339 0.0000  3 O 2.25-2.32
Cu 0.1088 0.8912 0.0000  4 O 1.85-1.91
Cu 0.3912 0.3912 0.5000  4 O 1.85-1.91
Cu 0.6088 0.6088 0.5000  4 O 1.85-1.91
Cu 0.8912 0.1088 0.0000  4 O 1.85-1.91
O 0.0940 0.0940 0.0000  2 Cu 1.91
O 0.1061 0.6941 0.0000  1 Cu 1.85
O 0.1941 0.3939 0.5000  1 Cu 1.85
O 0.3059 0.8939 0.0000  1 Cu 1.85
O 0.3939 0.1941 0.5000  1 Cu 1.85
O 0.4060 0.5940 0.5000  2 Cu 1.91
O 0.5940 0.4060 0.5000  2 Cu 1.91
O 0.6061 0.8059 0.5000  1 Cu 1.85
O 0.6941 0.1061 0.0000  1 Cu 1.85
O 0.8059 0.6061 0.5000  1 Cu 1.85
O 0.8939 0.3059 0.0000  1 Cu 1.85
O 0.9060 0.9060 0.0000  2 Cu 1.91